The following is a PBE calculation of a relaxed structure of LuSeO3F, from the Materials Project database.

Results
SG: P2_1/m
Total magnetic moment, Bohr magnetons per cell: 0.0
Formation energy from the elements, meV/atom: -2862
Crystal system: monoclinic

POSCAR file:
```
LuSeO3F
1.0
4.299 0.000 0.000
0.000 6.927 0.000
-0.601 0.000 6.500
Lu Se O F
2 2 6 2
Cartesian
0.078 1.732 0.849
3.620 5.195 5.652
0.556 5.195 2.288
3.142 1.732 4.212
0.093 3.960 1.144
0.093 6.430 1.144
0.092 1.732 3.069
3.606 5.195 3.431
3.605 0.496 5.356
3.605 2.967 5.356
1.475 5.195 5.582
2.223 1.732 0.919
```